No. 1
## HoCo2 (PBE)

Data for a relaxed structure of HoCo2.

a = 5.0648 Å, b = 5.0648 Å, c = 5.0648 Å
α = 60.00°, β = 60.00°, γ = 60.00°
With the nearest neighbours (Å) after each atom.
Element x y z (fractional)
Ho  0.1250  0.1250  0.1250  12 Co 2.97, 4 Ho 3.10
Ho  0.8750  0.8750  0.8750  12 Co 2.97, 4 Ho 3.10
Co  0.0000  0.5000  0.5000  6 Co 2.53
Co  0.5000  0.0000  0.5000  6 Co 2.53
Co  0.5000  0.5000  0.0000  6 Co 2.53
Co  0.5000  0.5000  0.5000  6 Co 2.53

Computed properties:
As for the crystal system: cubic. The value obtained for the formation energy from the elements is -0.7 eV per formula unit.


No. 2
## PrSbO4 (PBE)

Data for a relaxed structure of PrSbO4.

a = 5.4000 Å, b = 5.1816 Å, c = 13.8819 Å
α = 90.00°, β = 110.76°, γ = 90.00°
With the nearest neighbours (Å) after each atom.
Element x y z (fractional)
Pr  0.1599  0.2237  0.1654  6 O 2.40-2.48
Pr  0.1599  0.2763  0.6654  6 O 2.40-2.48
Pr  0.8401  0.7237  0.3346  6 O 2.40-2.48
Pr  0.8401  0.7763  0.8346  6 O 2.40-2.48
Sb  0.4243  0.2492  0.4303  6 O 1.96-2.08
Sb  0.4243  0.2508  0.9303  6 O 1.96-2.08
Sb  0.5757  0.7492  0.0697  6 O 1.96-2.08
Sb  0.5757  0.7508  0.5697  6 O 1.96-2.08
O  0.0949  0.1162  0.3274  1 Sb 1.97
O  0.0949  0.3838  0.8274  1 Sb 1.97
O  0.2500  0.5658  0.4642  2 Sb 2.03-2.08
O  0.2500  0.9342  0.9642  2 Sb 2.03-2.08
O  0.3491  0.0701  0.5504  2 Sb 2.02-2.07
O  0.3491  0.4299  0.0504  2 Sb 2.02-2.07
O  0.4844  0.6067  0.6831  1 Sb 1.96
O  0.4844  0.8933  0.1831  1 Sb 1.96
O  0.5156  0.1067  0.8169  1 Sb 1.96
O  0.5156  0.3933  0.3169  1 Sb 1.96
O  0.6509  0.5701  0.9496  2 Sb 2.02-2.07
O  0.6509  0.9299  0.4496  2 Sb 2.02-2.07
O  0.7500  0.0658  0.0358  2 Sb 2.03-2.08
O  0.7500  0.4342  0.5358  2 Sb 2.03-2.08
O  0.9051  0.6162  0.1726  1 Sb 1.97
O  0.9051  0.8838  0.6726  1 Sb 1.97

Computed properties:
As for the crystal system: monoclinic. As for the energy with MP2020 corrections: -181.73 eV/cell. The value obtained for the formation energy from the elements is -16.7 eV per formula unit.


No. 3
## TbReB4 (PBE)

Data for a relaxed structure of TbReB4.

a = 5.9855 Å, b = 11.5857 Å, c = 3.6296 Å
α = 90.00°, β = 90.00°, γ = 90.00°
With the nearest neighbours (Å) after each atom.
Element x y z (fractional)
Tb  0.1260  0.1503  0.0000  14 B 2.68-2.82
Tb  0.3740  0.6503  0.0000  14 B 2.68-2.82
Tb  0.6260  0.3497  0.0000  14 B 2.68-2.82
Tb  0.8740  0.8497  0.0000  14 B 2.68-2.82
Re  0.1320  0.4127  0.0000  10 B 2.33-2.39, 1 Re 2.57
Re  0.3680  0.9127  0.0000  10 B 2.33-2.39, 1 Re 2.57
Re  0.6320  0.0873  0.0000  10 B 2.33-2.39, 1 Re 2.57
Re  0.8680  0.5873  0.0000  10 B 2.33-2.39, 1 Re 2.57
B  0.0226  0.6917  0.5000  3 B 1.76-1.86
B  0.1135  0.5470  0.5000  3 B 1.74-1.76
B  0.1366  0.9685  0.5000  3 B 1.75-1.83
B  0.2130  0.8155  0.5000  3 B 1.83-1.86
B  0.2870  0.3155  0.5000  3 B 1.83-1.86
B  0.3634  0.4685  0.5000  3 B 1.75-1.83
B  0.3865  0.0470  0.5000  3 B 1.74-1.76
B  0.4774  0.1917  0.5000  3 B 1.76-1.86
B  0.5226  0.8083  0.5000  3 B 1.76-1.86
B  0.6135  0.9530  0.5000  3 B 1.74-1.76
B  0.6366  0.5315  0.5000  3 B 1.75-1.83
B  0.7130  0.6845  0.5000  3 B 1.83-1.86
B  0.7870  0.1845  0.5000  3 B 1.83-1.86
B  0.8634  0.0315  0.5000  3 B 1.75-1.83
B  0.8865  0.4530  0.5000  3 B 1.74-1.76
B  0.9774  0.3083  0.5000  3 B 1.76-1.86

Computed properties:
As for the crystal system: orthorhombic. The value obtained for the formation energy from the elements is -3.5 eV per formula unit.


No. 4
## SnBr6N2 (PBE)

Data for a relaxed structure of SnBr6N2.

a = 7.4630 Å, b = 7.4630 Å, c = 7.4630 Å
α = 60.00°, β = 60.00°, γ = 60.00°
With the nearest neighbours (Å) after each atom.
Element x y z (fractional)
Sn  0.0000  0.0000  0.0000  6 Br 2.63
Br  0.2490  0.2490  0.7510  1 Sn 2.63
Br  0.2490  0.7510  0.2490  1 Sn 2.63
Br  0.2490  0.7510  0.7510  1 Sn 2.63
Br  0.7510  0.2490  0.2490  1 Sn 2.63
Br  0.7510  0.2490  0.7510  1 Sn 2.63
Br  0.7510  0.7510  0.2490  1 Sn 2.63
N  0.2500  0.2500  0.2500  12 Br 3.73
N  0.7500  0.7500  0.7500  12 Br 3.73

Computed properties:
As for the crystal system: cubic. As for the energy with MP2020 corrections: -22.48 eV/cell. The value obtained for the formation energy from the elements is 8.0 eV per formula unit. The calculation puts the total magnetization at 6.46 μB per cell.


No. 5
## Sc3CoC4 (PBE)

Data for a relaxed structure of Sc3CoC4.

a = 6.5994 Å, b = 6.5994 Å, c = 6.5994 Å
α = 149.86°, β = 141.57°, γ = 49.59°
With the nearest neighbours (Å) after each atom.
Element x y z (fractional)
Sc  0.0000  0.0000  0.0000  8 C 2.38
Sc  0.3122  0.8122  0.5000  6 C 2.37
Sc  0.6878  0.1878  0.5000  6 C 2.37
Co  0.5000  0.5000  0.0000  4 C 2.07
C  0.0433  0.3763  0.6670  1 C 1.45
C  0.2908  0.6237  0.6670  1 C 1.45
C  0.7092  0.3763  0.3330  1 C 1.45
C  0.9567  0.6237  0.3330  1 C 1.45

Computed properties:
As for the crystal system: orthorhombic. The value obtained for the formation energy from the elements is -3.6 eV per formula unit.


No. 6
## H36Pb3C10I10N4 (PBE)

Data for a relaxed structure of H36Pb3C10I10N4.

a = 9.1615 Å, b = 26.8494 Å, c = 26.8494 Å
α = 160.64°, β = 90.00°, γ = 90.00°
With the nearest neighbours (Å) after each atom.
Element x y z (fractional)
H  0.0155  0.2273  0.1064  1 C 1.10
H  0.0153  0.4390  0.5610  1 N 1.04
H  0.0254  0.9511  0.3670  1 C 1.10
H  0.0345  0.0938  0.5796  1 C 1.10
H  0.0470  0.0986  0.4090  1 N 1.05
H  0.0754  0.6216  0.2240  1 C 1.10
H  0.0839  0.5387  0.2314  1 N 1.03
H  0.0944  0.2790  0.6470  1 C 1.10
H  0.0971  0.4824  0.3240  1 N 1.04
H  0.1053  0.2306  0.3120  1 C 1.09
H  0.1169  0.3972  0.0594  1 N 1.04
H  0.1215  0.4552  0.3592  1 N 1.04
H  0.1352  0.1928  0.3408  1 C 1.10
H  0.1534  0.4821  0.9524  1 C 1.10
H  0.1804  0.2050  0.6631  1 C 1.10
H  0.1957  0.0241  0.4164  1 C 1.10
H  0.2017  0.8644  0.3615  1 C 1.10
H  0.2314  0.5061  0.0352  1 C 1.10
H  0.2686  0.0061  0.5352  1 C 1.10
H  0.2983  0.3644  0.8615  1 C 1.10
H  0.3043  0.5241  0.9164  1 C 1.10
H  0.3196  0.7050  0.1631  1 C 1.10
H  0.3466  0.9821  0.4524  1 C 1.10
H  0.3648  0.6928  0.8408  1 C 1.10
H  0.3785  0.9552  0.8592  1 N 1.04
H  0.3831  0.8972  0.5594  1 N 1.04
H  0.3947  0.7306  0.8120  1 C 1.09
H  0.4029  0.9824  0.8240  1 N 1.04
H  0.4056  0.7790  0.1470  1 C 1.10
H  0.4161  0.0387  0.7314  1 N 1.03
H  0.4246  0.1216  0.7240  1 C 1.10
H  0.4530  0.5986  0.9090  1 N 1.05
H  0.4655  0.5938  0.0796  1 C 1.10
H  0.4746  0.4511  0.8670  1 C 1.10
H  0.4845  0.7273  0.6064  1 C 1.10
H  0.4847  0.9390  0.0610  1 N 1.04
H  0.5153  0.0610  0.9390  1 N 1.04
H  0.5155  0.6064  0.7273  1 C 1.10
H  0.5254  0.8670  0.4511  1 C 1.10
H  0.5345  0.0796  0.5938  1 C 1.10
H  0.5470  0.9090  0.5986  1 N 1.05
H  0.5754  0.7240  0.1216  1 C 1.10
H  0.5839  0.7314  0.0387  1 N 1.03
H  0.5944  0.1470  0.7790  1 C 1.10
H  0.5971  0.8240  0.9824  1 N 1.04
H  0.6053  0.8120  0.7306  1 C 1.09
H  0.6169  0.5594  0.8972  1 N 1.04
H  0.6215  0.8592  0.9552  1 N 1.04
H  0.6352  0.8408  0.6928  1 C 1.10
H  0.6534  0.4524  0.9821  1 C 1.10
H  0.6804  0.1631  0.7050  1 C 1.10
H  0.6957  0.9164  0.5241  1 C 1.10
H  0.7017  0.8615  0.3644  1 C 1.10
H  0.7314  0.5352  0.0061  1 C 1.10
H  0.7686  0.0352  0.5061  1 C 1.10
H  0.7983  0.3615  0.8644  1 C 1.10
H  0.8043  0.4164  0.0241  1 C 1.10
H  0.8196  0.6631  0.2050  1 C 1.10
H  0.8466  0.9524  0.4821  1 C 1.10
H  0.8648  0.3408  0.1928  1 C 1.10
H  0.8785  0.3592  0.4552  1 N 1.04
H  0.8831  0.0594  0.3972  1 N 1.04
H  0.8947  0.3120  0.2306  1 C 1.09
H  0.9029  0.3240  0.4824  1 N 1.04
H  0.9056  0.6470  0.2790  1 C 1.10
H  0.9161  0.2314  0.5387  1 N 1.03
H  0.9246  0.2240  0.6216  1 C 1.10
H  0.9530  0.4090  0.0986  1 N 1.05
H  0.9655  0.5796  0.0938  1 C 1.10
H  0.9746  0.3670  0.9511  1 C 1.10
H  0.9845  0.1064  0.2273  1 C 1.10
H  0.9847  0.5610  0.4390  1 N 1.04
Pb  0.0000  0.8191  0.8191  6 I 3.19-3.28
Pb  0.0013  0.7076  0.9553  6 I 3.10-3.34
Pb  0.4987  0.2076  0.4553  6 I 3.10-3.34
Pb  0.5000  0.3191  0.3191  6 I 3.19-3.28
Pb  0.5013  0.4553  0.2076  6 I 3.10-3.34
Pb  0.9987  0.9553  0.7076  6 I 3.10-3.34
C  0.0195  0.1837  0.5625  2 H 1.10
C  0.0520  0.2077  0.3260  3 H 1.09-1.10
C  0.0952  0.0521  0.4635  2 H 1.10
C  0.1345  0.0908  0.5540  2 H 1.10
C  0.2438  0.9800  0.4716  3 H 1.10
C  0.2562  0.4800  0.9716  3 H 1.10
C  0.3655  0.5908  0.0540  2 H 1.10
C  0.4048  0.5521  0.9635  2 H 1.10
C  0.4480  0.7077  0.8260  3 H 1.09-1.10
C  0.4805  0.6837  0.0625  2 H 1.10
C  0.5195  0.0625  0.6837  2 H 1.10
C  0.5520  0.8260  0.7077  3 H 1.09-1.10
C  0.5952  0.9635  0.5521  2 H 1.10
C  0.6345  0.0540  0.5908  2 H 1.10
C  0.7438  0.9716  0.4800  3 H 1.10
C  0.7562  0.4716  0.9800  3 H 1.10
C  0.8655  0.5540  0.0908  2 H 1.10
C  0.9048  0.4635  0.0521  2 H 1.10
C  0.9480  0.3260  0.2077  3 H 1.09-1.10
C  0.9805  0.5625  0.1837  2 H 1.10
I  0.0223  0.7449  0.8670  1 H 2.76
I  0.0678  0.0129  0.6505  1 Pb 3.10, 3 H 3.10-3.45
I  0.2372  0.6808  0.4476  2 H 2.77-2.90
I  0.2372  0.9615  0.2229  1 H 2.62
I  0.2454  0.5778  0.5642  1 H 2.87, 1 Pb 3.19
I  0.2546  0.0778  0.0642  1 H 2.87, 1 Pb 3.19
I  0.2628  0.1808  0.9476  2 H 2.77-2.90
I  0.2628  0.4615  0.7229  1 H 2.62
I  0.4322  0.5129  0.1505  1 Pb 3.10, 3 H 3.10-3.45
I  0.4777  0.2449  0.3670  1 H 2.76
I  0.5223  0.3670  0.2449  1 H 2.76
I  0.5678  0.1505  0.5129  1 Pb 3.10, 3 H 3.10-3.45
I  0.7372  0.7229  0.4615  1 H 2.62
I  0.7372  0.9476  0.1808  2 H 2.77-2.90
I  0.7454  0.0642  0.0778  1 H 2.87, 1 Pb 3.19
I  0.7546  0.5642  0.5778  1 H 2.87, 1 Pb 3.19
I  0.7628  0.2229  0.9615  1 H 2.62
I  0.7628  0.4476  0.6808  2 H 2.77-2.90
I  0.9322  0.6505  0.0129  1 Pb 3.10, 3 H 3.10-3.45
I  0.9777  0.8670  0.7449  1 H 2.76
N  0.0366  0.4715  0.1411  3 H 1.03-1.05
N  0.0428  0.4627  0.3386  3 H 1.04
N  0.4572  0.9627  0.8386  3 H 1.04
N  0.4634  0.9715  0.6411  3 H 1.03-1.05
N  0.5366  0.6411  0.9715  3 H 1.03-1.05
N  0.5428  0.8386  0.9627  3 H 1.04
N  0.9572  0.3386  0.4627  3 H 1.04
N  0.9634  0.1411  0.4715  3 H 1.03-1.05

Computed properties:
As for the crystal system: orthorhombic. As for the energy with MP2020 corrections: -591.34 eV/cell. The value obtained for the formation energy from the elements is -21.5 eV per formula unit. The calculation puts the total magnetization at 0.16 μB per cell.